Entry 1:
K2NaAlAs2 | PBE-GGA | optimized geometry

a = 8.914 Å, b = 8.914 Å, c = 8.914 Å
α = 137.04°, β = 135.09°, γ = 63.90°
Positions (direct):
As 0.894 0.094 0.800
As 0.705 0.406 0.300
As 0.295 0.594 0.700
As 0.106 0.906 0.200
K 0.916 0.675 0.241
K 0.084 0.325 0.759
K 0.567 0.825 0.741
K 0.433 0.175 0.259
Na 0.500 0.250 0.750
Na 0.500 0.750 0.250
Al 0.000 0.250 0.250
Al 0.000 0.750 0.750

Entry 2:
Cu8O | PBE-GGA | optimized geometry

## Properties
ΔE to the lowest computed polymorph (meV per atom): 68
Magnetization (μB per cell): 0.00

a = 4.575 Å, b = 4.575 Å, c = 5.363 Å
α = 90.00°, β = 90.00°, γ = 105.86°
Positions (direct):
Cu 0.148 0.430 0.000
Cu 0.623 0.377 0.265
Cu 0.636 0.871 0.500
Cu 0.570 0.852 0.000
Cu 0.143 0.857 0.716
Cu 0.143 0.857 0.284
Cu 0.129 0.364 0.500
Cu 0.623 0.377 0.735
O 0.987 0.013 0.000

Entry 3:
GdAl7Au3 | PBE-GGA | optimized geometry

a = 8.476 Å, b = 8.476 Å, c = 8.476 Å
α = 57.24°, β = 57.24°, γ = 57.24°
Positions (direct):
Al 0.070 0.853 0.667
Al 0.853 0.667 0.070
Al 0.647 0.430 0.833
Al 0.333 0.930 0.147
Al 0.167 0.353 0.570
Al 0.750 0.750 0.750
Al 0.667 0.070 0.853
Al 0.930 0.147 0.333
Al 0.147 0.333 0.930
Al 0.353 0.570 0.167
Al 0.833 0.647 0.430
Al 0.250 0.250 0.250
Al 0.570 0.167 0.353
Al 0.430 0.833 0.647
Au 0.250 0.573 0.927
Au 0.427 0.073 0.750
Au 0.573 0.927 0.250
Au 0.750 0.427 0.073
Au 0.927 0.250 0.573
Au 0.073 0.750 0.427
Gd 0.000 0.000 0.000
Gd 0.500 0.500 0.500

Entry 4:
HoAlCu | PBE-GGA | optimized geometry

a = 6.957 Å, b = 6.957 Å, c = 4.037 Å
α = 90.00°, β = 90.00°, γ = 120.00°
Positions (direct):
Cu 0.333 0.667 0.000
Cu 0.000 0.000 0.500
Cu 0.667 0.333 0.000
Al 0.000 0.235 0.000
Al 0.235 0.000 0.000
Al 0.765 0.765 0.000
Ho 0.586 0.000 0.500
Ho 0.000 0.586 0.500
Ho 0.414 0.414 0.500

Entry 5:
SrMgO2 | PBE-GGA | optimized geometry

## Properties
Magnetization (μB per cell): 0.00

a = 2.957 Å, b = 4.199 Å, c = 4.199 Å
α = 90.00°, β = 90.00°, γ = 90.00°
Positions (direct):
O 0.500 0.500 0.000
O 0.500 0.000 0.500
Mg 0.000 0.000 0.000
Sr 0.000 0.500 0.500

Entry 6:
Na2Sc3TaP4S2O24 | PBE-GGA | optimized geometry

## Properties
Magnetization (μB per cell): 0.00

a = 8.787 Å, b = 8.782 Å, c = 23.133 Å
α = 90.09°, β = 89.92°, γ = 120.02°
Positions (direct):
S 0.333 0.378 0.416
S 0.665 0.047 0.083
S 0.292 0.000 0.251
S 0.374 0.044 0.583
S 0.667 0.625 0.583
S 0.960 0.332 0.583
O 0.478 0.323 0.743
O 0.039 0.820 0.696
O 0.140 0.645 0.077
O 0.520 0.690 0.262
O 0.495 0.367 0.420
O 0.504 0.856 0.363
O 0.309 0.835 0.259
O 0.634 0.495 0.924
O 0.504 0.638 0.863
O 0.312 0.847 0.972
O 0.016 0.193 0.909
O 0.818 0.026 0.805
O 0.507 0.141 0.925
O 0.480 0.127 0.635
O 0.537 0.690 0.972
O 0.363 0.867 0.864
O 0.873 0.514 0.137
O 0.142 0.647 0.363
O 0.645 0.520 0.635
O 0.844 0.522 0.743
O 0.197 0.025 0.587
O 0.363 0.499 0.077
O 0.853 0.311 0.531
O 0.185 0.965 0.199
O 0.840 0.316 0.246
O 0.309 0.459 0.468
O 0.180 0.218 0.696
O 0.981 0.182 0.305
O 0.167 0.479 0.262
O 0.807 0.823 0.910
O 0.675 0.520 0.246
O 0.507 0.642 0.577
O 0.151 0.461 0.971
O 0.179 0.984 0.910
O 0.804 0.977 0.411
O 0.876 0.356 0.635
O 0.032 0.836 0.409
O 0.208 0.183 0.805
O 0.170 0.690 0.761
O 0.678 0.156 0.743
O 0.178 0.203 0.409
O 0.784 0.821 0.196
O 0.965 0.804 0.086
O 0.487 0.352 0.137
O 0.858 0.364 0.925
O 0.828 0.035 0.085
O 0.839 0.522 0.028
O 0.687 0.539 0.530
O 0.196 0.164 0.086
O 0.510 0.871 0.077
O 0.976 0.172 0.588
O 0.132 0.496 0.863
O 0.471 0.149 0.245
O 0.520 0.830 0.761
O 0.644 0.128 0.135
O 0.817 0.792 0.305
O 0.536 0.844 0.471
O 0.038 0.215 0.196
O 0.310 0.481 0.761
O 0.630 0.135 0.420
O 0.826 0.802 0.587
O 0.781 0.961 0.696
O 0.685 0.156 0.030
O 0.211 0.022 0.303
O 0.974 0.792 0.805
O 0.355 0.489 0.364
O 0.154 0.688 0.471
O 0.460 0.148 0.530
O 0.863 0.501 0.420
O 0.356 0.865 0.578
O 0.477 0.314 0.029
O 0.137 0.491 0.577
P 0.045 0.670 0.417
P 0.621 0.956 0.417
P 0.002 0.709 0.751
P 0.958 0.625 0.083
P 0.707 0.998 0.751
P 0.334 0.956 0.918
P 0.707 0.708 0.250
P 0.622 0.670 0.918
P 0.291 0.293 0.751
P 0.042 0.376 0.918
P 0.377 0.333 0.084
P 0.998 0.289 0.251
Sc 0.335 0.675 0.518
Sc 0.000 0.999 0.654
Sc 0.997 0.003 0.145
Sc 0.667 0.334 0.690
Sc 0.001 0.001 0.852
Sc 0.985 0.992 0.352
Sc 0.328 0.660 0.019
Sc 0.675 0.333 0.478
Sc 0.676 0.348 0.186
Na 0.679 0.339 0.331
Na 0.667 0.332 0.829
Na 0.005 0.000 0.997
Na 0.994 0.993 0.499
Na 0.334 0.666 0.668
Na 0.329 0.655 0.159
Ta 0.331 0.667 0.313
Ta 0.332 0.667 0.815
Ta 0.664 0.340 0.978

Entry 7:
Nd2Ge2Ir | PBE-GGA | optimized geometry

## Properties
Magnetization (μB per cell): 0.02

a = 5.967 Å, b = 5.967 Å, c = 10.154 Å
α = 89.13°, β = 89.13°, γ = 41.86°
Positions (direct):
Ge 0.425 0.425 0.177
Ge 0.115 0.115 0.494
Ge 0.885 0.885 0.506
Ge 0.575 0.575 0.823
Ir 0.997 0.997 0.285
Ir 0.003 0.003 0.715
Nd 0.704 0.704 0.302
Nd 0.864 0.864 0.965
Nd 0.136 0.136 0.035
Nd 0.296 0.296 0.698

Entry 8:
Rb3Nb2Br9 | PBE-GGA | optimized geometry

a = 7.868 Å, b = 7.868 Å, c = 18.278 Å
α = 90.00°, β = 90.00°, γ = 120.00°
Positions (direct):
Rb 0.000 0.000 0.250
Rb 0.333 0.667 0.067
Rb 0.667 0.333 0.933
Rb 0.000 0.000 0.750
Rb 0.333 0.667 0.433
Rb 0.667 0.333 0.567
Br 0.496 0.991 0.250
Br 0.825 0.651 0.406
Br 0.825 0.175 0.094
Br 0.504 0.496 0.750
Br 0.651 0.825 0.594
Br 0.496 0.504 0.250
Br 0.651 0.825 0.906
Br 0.349 0.175 0.406
Br 0.009 0.504 0.250
Br 0.175 0.349 0.594
Br 0.991 0.496 0.750
Br 0.504 0.009 0.750
Br 0.175 0.349 0.906
Br 0.349 0.175 0.094
Br 0.825 0.651 0.094
Br 0.175 0.825 0.594
Br 0.175 0.825 0.906
Br 0.825 0.175 0.406
Nb 0.667 0.333 0.324
Nb 0.333 0.667 0.676
Nb 0.333 0.667 0.824
Nb 0.667 0.333 0.176

Entry 9:
SrO10 | PBE-GGA | optimized geometry

## Properties
ΔE to the lowest computed polymorph (meV per atom): 630
Magnetization (μB per cell): 0.00

a = 5.237 Å, b = 5.237 Å, c = 5.478 Å
α = 90.00°, β = 90.00°, γ = 90.00°
Positions (direct):
O 0.645 0.645 0.752
O 0.645 0.355 0.248
O 0.355 0.645 0.248
O 0.355 0.645 0.752
O 0.645 0.645 0.248
O 0.645 0.355 0.752
O 0.500 0.000 0.000
O 0.355 0.355 0.248
O 0.355 0.355 0.752
O 0.000 0.500 0.000
Sr 0.000 0.000 0.000

Entry 10:
Ge3O | PBE-GGA | optimized geometry

## Properties
Magnetization (μB per cell): 0.00

a = 5.531 Å, b = 5.531 Å, c = 5.531 Å
α = 141.09°, β = 141.09°, γ = 56.20°
Positions (direct):
Ge 0.250 0.750 0.500
Ge 0.500 0.500 0.000
Ge 0.750 0.250 0.500
O 0.000 0.000 0.000

Entry 11:
Sm3Y5O12 | PBE-GGA | optimized geometry

a = 9.371 Å, b = 9.371 Å, c = 9.371 Å
α = 109.49°, β = 109.49°, γ = 109.44°
Positions (direct):
Sm 0.002 0.003 0.001
Sm 0.031 0.781 0.250
Sm 0.502 0.001 0.499
Sm 0.998 0.497 0.499
Sm 0.469 0.719 0.750
Sm 0.498 0.499 0.001
O 0.769 0.542 0.512
O 0.970 0.958 0.727
O 0.530 0.257 0.988
O 0.274 0.031 0.043
O 0.226 0.269 0.756
O 0.988 0.526 0.257
O 0.270 0.755 0.225
O 0.238 0.773 0.730
O 0.769 0.731 0.243
O 0.470 0.745 0.015
O 0.731 0.243 0.773
O 0.731 0.974 0.962
O 0.755 0.226 0.269
O 0.230 0.455 0.485
O 0.012 0.469 0.744
O 0.543 0.508 0.770
O 0.043 0.274 0.029
O 0.957 0.727 0.966
O 0.488 0.231 0.457
O 0.745 0.014 0.471
O 0.457 0.486 0.231
O 0.030 0.045 0.275
O 0.262 0.992 0.534
O 0.512 0.769 0.538
Y 0.250 0.530 0.280
Y 0.250 0.033 0.783
Y 0.217 0.750 0.967
Y 0.718 0.750 0.468
Y 0.283 0.250 0.533
Y 0.750 0.467 0.717
Y 0.532 0.282 0.250
Y 0.750 0.970 0.220
Y 0.782 0.250 0.032
Y 0.968 0.218 0.750

Entry 12:
LiBH4 | PBE-GGA | optimized geometry

## Properties
ΔE to the lowest computed polymorph (meV per atom): 0

a = 4.402 Å, b = 5.837 Å, c = 8.614 Å
α = 90.00°, β = 90.00°, γ = 90.00°
Positions (direct):
H 0.750 0.453 0.589
H 0.250 0.291 0.969
H 0.977 0.682 0.717
H 0.023 0.182 0.783
H 0.250 0.547 0.411
H 0.523 0.682 0.717
H 0.023 0.318 0.283
H 0.523 0.818 0.217
H 0.750 0.047 0.089
H 0.750 0.791 0.531
H 0.977 0.818 0.217
H 0.750 0.709 0.031
H 0.250 0.209 0.469
H 0.477 0.182 0.783
H 0.477 0.318 0.283
H 0.250 0.953 0.911
Li 0.250 0.081 0.144
Li 0.250 0.419 0.644
Li 0.750 0.919 0.856
Li 0.750 0.581 0.356
B 0.750 0.651 0.636
B 0.250 0.349 0.364
B 0.750 0.849 0.136
B 0.250 0.151 0.864

Entry 13:
Ba2ZnTeO6 | PBE-GGA | optimized geometry

## Properties
Magnetization (μB per cell): 0.00

a = 5.843 Å, b = 5.843 Å, c = 5.843 Å
α = 60.00°, β = 60.00°, γ = 60.00°
Positions (direct):
Zn 0.000 0.000 0.000
O 0.262 0.738 0.738
O 0.262 0.738 0.262
O 0.738 0.262 0.262
O 0.738 0.262 0.738
O 0.738 0.738 0.262
O 0.262 0.262 0.738
Ba 0.250 0.250 0.250
Ba 0.750 0.750 0.750
Te 0.500 0.500 0.500

Entry 14:
Ce2Dy2O7 | PBE-GGA | optimized geometry

## Properties
Maximum piezoelectric response (C/m2): 0.62
ΔE to the lowest computed polymorph (meV per atom): 24
Magnetization (μB per cell): 0.01

a = 3.845 Å, b = 3.845 Å, c = 10.879 Å
α = 90.00°, β = 90.00°, γ = 90.00°
Positions (direct):
Dy 0.000 0.500 0.140
Dy 0.500 0.000 0.860
O 0.500 0.500 0.000
O 0.000 0.000 0.500
O 0.000 0.000 0.766
O 0.500 0.500 0.741
O 0.500 0.500 0.259
O 0.500 0.500 0.500
O 0.000 0.000 0.234
Ce 0.000 0.500 0.626
Ce 0.500 0.000 0.374

Number 1: formation energy -569 meV per atom. Number 2: formation energy -29 meV per atom. Number 3: formation energy -515 meV per atom. Number 4: formation energy -457 meV per atom. Number 5: formation energy -2247 meV per atom. Number 6: formation energy -2920 meV per atom. Number 7: formation energy -469 meV per atom. Number 8: formation energy -1632 meV per atom. Number 9: formation energy 92 meV per atom. Number 10: formation energy 82 meV per atom. Number 11: formation energy -3923 meV per atom. Number 12: formation energy -450 meV per atom. Number 13: formation energy -2367 meV per atom. Number 14: formation energy -3874 meV per atom.